LiMn2O2F3: optimized geometry, PBE+U.

Lattice parameters (Å, degrees): 5.2779 5.2779 10.5756 90.00 90.00 137.85
Atoms (fractional coordinates):
Li (0.1689, 0.8311, 0.7500)
Li (0.8311, 0.1689, 0.2500)
Mn (0.1559, 0.8441, 0.0581)
Mn (0.1559, 0.8441, 0.4419)
Mn (0.8441, 0.1559, 0.5581)
Mn (0.8441, 0.1559, 0.9419)
O (0.3084, 0.6916, 0.5569)
O (0.3084, 0.6916, 0.9431)
O (0.6916, 0.3084, 0.0569)
O (0.6916, 0.3084, 0.4431)
F (0.0280, 0.9720, 0.6203)
F (0.0280, 0.9720, 0.8797)
F (0.2493, 0.7507, 0.2500)
F (0.7507, 0.2493, 0.7500)
F (0.9720, 0.0280, 0.1203)
F (0.9720, 0.0280, 0.3797)

Output
- Formation energy from the elements: -2558.1 meV per atom
- Space-group type: Cmcm, No. 63

=====

Li2Mn2OF4: optimized geometry, PBE+U.

Lattice parameters (Å, degrees): 4.0203 8.4916 13.7219 98.39 90.04 90.02
Atoms (fractional coordinates):
Li (0.0000, 0.0000, 0.0000)
Li (0.0041, 0.3705, 0.5861)
Li (0.4822, 0.7961, 0.5560)
Li (0.4918, 0.1735, 0.1216)
Li (0.4977, 0.1698, 0.6142)
Li (0.5114, 0.8005, 0.0680)
Li (0.9858, 0.3791, 0.0786)
Li (0.9894, 0.9911, 0.5093)
Mn (0.9998, 0.2335, 0.8011)
Mn (0.0103, 0.6058, 0.9009)
Mn (0.4832, 0.5482, 0.2312)
Mn (0.4906, 0.9802, 0.3268)
Mn (0.4995, 0.9533, 0.8359)
Mn (0.5089, 0.5511, 0.7252)
Mn (0.9804, 0.5911, 0.4094)
Mn (0.9908, 0.2535, 0.2853)
O (0.9996, 0.0097, 0.8540)
O (0.0080, 0.4881, 0.7556)
O (0.4908, 0.1894, 0.2709)
O (0.9837, 0.4995, 0.2582)
F (0.0056, 0.7606, 0.0332)
F (0.4811, 0.6659, 0.4029)
F (0.4878, 0.4049, 0.0938)
F (0.4904, 0.9983, 0.5031)
F (0.4933, 0.7855, 0.6959)
F (0.4978, 0.7896, 0.2070)
F (0.4991, 0.9929, 0.0133)
F (0.4996, 0.1923, 0.7600)
F (0.5026, 0.3937, 0.5943)
F (0.5097, 0.6872, 0.8883)
F (0.9841, 0.7677, 0.5337)
F (0.9912, 0.3821, 0.9422)
F (0.9908, 0.9735, 0.3648)
F (0.9927, 0.1714, 0.1135)
F (0.9973, 0.1597, 0.6210)
F (0.9967, 0.3657, 0.4455)

Output
- Formation energy from the elements: -2736.6 meV per atom
- Space-group type: P1, No. 1

=====

LiMn3O4F2: optimized geometry, PBE+U.

Lattice parameters (Å, degrees): 4.9274 5.2739 5.3802 63.22 89.16 63.94
Atoms (fractional coordinates):
Li (0.0000, 0.0000, 0.0000)
Mn (0.2095, 0.4854, 0.8226)
Mn (0.3806, 0.0962, 0.4137)
Mn (0.7145, 0.4834, 0.3425)
O (0.0106, 0.2906, 0.1379)
O (0.0856, 0.3107, 0.6251)
O (0.3579, 0.5308, 0.1363)
O (0.4450, 0.6552, 0.5675)
F (0.6365, 0.9713, 0.1023)
F (0.7829, 0.9611, 0.6294)

Output
- Formation energy from the elements: -2276.2 meV per atom
- Space-group type: P1, No. 1

=====

LiMn2OF3: optimized geometry, PBE+U.

Lattice parameters (Å, degrees): 6.1887 6.1887 6.3754 119.28 119.28 61.93
Atoms (fractional coordinates):
Li (0.0000, 0.0000, 0.0000)
Li (0.0000, 0.0000, 0.5000)
Mn (0.0000, 0.5000, 0.0000)
Mn (0.3553, 0.3553, 0.5573)
Mn (0.5000, 0.0000, 0.0000)
Mn (0.6447, 0.6447, 0.4427)
O (0.2337, 0.2337, 0.1829)
O (0.7663, 0.7663, 0.8171)
F (0.2278, 0.7585, 0.7313)
F (0.2363, 0.2363, 0.7304)
F (0.2415, 0.7722, 0.2687)
F (0.7585, 0.2278, 0.7313)
F (0.7637, 0.7637, 0.2696)
F (0.7722, 0.2415, 0.2687)

Output
- Formation energy from the elements: -2661.3 meV per atom
- Space-group type: C2/m, No. 12

=====

Li6MnO3F2: optimized geometry, PBE+U.

Lattice parameters (Å, degrees): 5.6356 5.6356 9.7442 93.90 93.90 53.84
Atoms (fractional coordinates):
Li (0.1059, 0.2250, 0.2720)
Li (0.1655, 0.8134, 0.5626)
Li (0.1866, 0.8345, 0.9374)
Li (0.2250, 0.1059, 0.7720)
Li (0.2452, 0.2991, 0.0098)
Li (0.2991, 0.2452, 0.5098)
Li (0.7009, 0.7548, 0.4902)
Li (0.7548, 0.7009, 0.9902)
Li (0.7750, 0.8941, 0.2280)
Li (0.8134, 0.1655, 0.0626)
Li (0.8345, 0.1866, 0.4374)
Li (0.8941, 0.7750, 0.7280)
Mn (0.3478, 0.6522, 0.2500)
Mn (0.6522, 0.3478, 0.7500)
O (0.0749, 0.7022, 0.0795)
O (0.2616, 0.7384, 0.7500)
O (0.2978, 0.9251, 0.4205)
O (0.7022, 0.0749, 0.5795)
O (0.7384, 0.2616, 0.2500)
O (0.9251, 0.2978, 0.9205)
F (0.0344, 0.5708, 0.3708)
F (0.4292, 0.9656, 0.1292)
F (0.5708, 0.0344, 0.8708)
F (0.9656, 0.4292, 0.6292)

Output
- Formation energy from the elements: -2313.9 meV per atom
- Space-group type: C2/c, No. 15

=====

Li4Mn3O2F6: optimized geometry, PBE+U.

Lattice parameters (Å, degrees): 6.1928 6.9485 8.3416 89.90 74.69 77.27
Atoms (fractional coordinates):
Li (0.0000, 0.0000, 0.0000)
Li (0.0000, 0.5000, 0.4999)
Li (0.2184, 0.2576, 0.7499)
Li (0.2183, 0.7576, 0.2499)
Li (0.4724, 0.0072, 0.9527)
Li (0.4724, 0.5073, 0.4527)
Li (0.6903, 0.2649, 0.7027)
Li (0.6902, 0.7649, 0.2027)
Mn (0.1068, 0.3875, 0.1141)
Mn (0.1076, 0.8875, 0.6142)
Mn (0.3454, 0.1327, 0.3514)
Mn (0.3455, 0.6326, 0.8514)
Mn (0.5834, 0.3775, 0.0884)
Mn (0.5840, 0.8774, 0.5885)
O (0.2838, 0.4253, 0.2940)
O (0.2846, 0.9250, 0.7943)
O (0.4061, 0.3406, 0.9087)
O (0.4060, 0.8407, 0.4090)
F (0.0315, 0.7141, 0.0764)
F (0.0317, 0.2140, 0.5763)
F (0.1750, 0.0645, 0.1570)
F (0.1751, 0.5645, 0.6569)
F (0.5156, 0.1997, 0.5478)
F (0.5156, 0.6999, 0.0478)
F (0.6591, 0.0496, 0.1264)
F (0.6592, 0.5490, 0.6261)
F (0.7573, 0.4744, 0.2629)
F (0.7580, 0.9744, 0.7631)
F (0.9332, 0.2913, 0.9399)
F (0.9332, 0.7914, 0.4399)

Output
- Formation energy from the elements: -2727.1 meV per atom
- Space-group type: P1, No. 1

=====

Li2Mn4O5F3: optimized geometry, PBE+U.

Lattice parameters (Å, degrees): 6.1764 6.1764 11.0062 107.16 107.16 56.49
Atoms (fractional coordinates):
Li (0.1645, 0.6642, 0.1120)
Li (0.2286, 0.7714, 0.5000)
Li (0.6642, 0.1645, 0.6120)
Li (0.7714, 0.2286, 0.0000)
Mn (0.1984, 0.2032, 0.8183)
Mn (0.2023, 0.7154, 0.8137)
Mn (0.2032, 0.1984, 0.3183)
Mn (0.4427, 0.9573, 0.0585)
Mn (0.7043, 0.7074, 0.8114)
Mn (0.7074, 0.7043, 0.3114)
Mn (0.7154, 0.2023, 0.3137)
Mn (0.9573, 0.4427, 0.5585)
O (0.0373, 0.0976, 0.4288)
O (0.0510, 0.5512, 0.4215)
O (0.0748, 0.5787, 0.9016)
O (0.0976, 0.0373, 0.9288)
O (0.3367, 0.8332, 0.7201)
O (0.3624, 0.8639, 0.2016)
O (0.5512, 0.0510, 0.9215)
O (0.5787, 0.0748, 0.4016)
O (0.8332, 0.3367, 0.2201)
O (0.8639, 0.3624, 0.7016)
F (0.3374, 0.3654, 0.6898)
F (0.3654, 0.3374, 0.1898)
F (0.5581, 0.5990, 0.4403)
F (0.5990, 0.5581, 0.9403)
F (0.8259, 0.8360, 0.6740)
F (0.8360, 0.8259, 0.1740)

Output
- Formation energy from the elements: -2375.4 meV per atom
- Space-group type: Cc, No. 9

=====

Li2MnO2F: optimized geometry, PBE+U.

Lattice parameters (Å, degrees): 2.9900 2.9900 14.4158 90.00 90.00 120.00
Atoms (fractional coordinates):
Li (0.0000, 0.0000, 0.0000)
Li (0.0000, 0.0000, 0.5000)
Li (0.3333, 0.6667, 0.3392)
Li (0.6667, 0.3333, 0.6608)
Mn (0.3333, 0.6667, 0.8312)
Mn (0.6667, 0.3333, 0.1688)
O (0.0000, 0.0000, 0.2457)
O (0.0000, 0.0000, 0.7543)
O (0.3333, 0.6667, 0.0907)
O (0.6667, 0.3333, 0.9093)
F (0.3333, 0.6667, 0.5808)
F (0.6667, 0.3333, 0.4192)

Output
- Formation energy from the elements: -2423.4 meV per atom
- Space-group type: P-3m1, No. 164

=====

Li3Mn2OF5: optimized geometry, PBE+U.

Lattice parameters (Å, degrees): 10.1551 9.7078 5.2947 79.26 69.92 30.81
Atoms (fractional coordinates):
Li (0.0000, 0.0000, 0.0000)
Li (0.2500, 0.2500, 0.2500)
Li (0.3193, 0.3193, 0.6807)
Li (0.5751, 0.5751, 0.9249)
Li (0.6807, 0.6807, 0.3193)
Li (0.9249, 0.9249, 0.5751)
Mn (0.0800, 0.0800, 0.4200)
Mn (0.4200, 0.4200, 0.0800)
Mn (0.5000, 0.5000, 0.5000)
Mn (0.7500, 0.7500, 0.7500)
O (0.2529, 0.7471, 0.2529)
O (0.7471, 0.2529, 0.7471)
F (0.1137, 0.5439, 0.4329)
F (0.1613, 0.6731, 0.8255)
F (0.3402, 0.8255, 0.6731)
F (0.4329, 0.9096, 0.1137)
F (0.5060, 0.9940, 0.5060)
F (0.5439, 0.1137, 0.9096)
F (0.6731, 0.1613, 0.3402)
F (0.8255, 0.3402, 0.1613)
F (0.9096, 0.4329, 0.5439)
F (0.9940, 0.5060, 0.9940)

Output
- Formation energy from the elements: -2796.3 meV per atom
- Space-group type: F222, No. 22

=====

LiMn2OF3: optimized geometry, PBE+U.

Lattice parameters (Å, degrees): 8.4342 8.4342 8.4342 136.94 80.38 115.88
Atoms (fractional coordinates):
Li (0.0816, 0.7199, 0.3616)
Li (0.1294, 0.0000, 0.1294)
Li (0.3583, 0.7199, 0.6384)
Li (0.8706, 0.0000, 0.8706)
Mn (0.1304, 0.3798, 0.7507)
Mn (0.3319, 0.3319, 0.0000)
Mn (0.4979, 0.3740, 0.6398)
Mn (0.4979, 0.8582, 0.1240)
Mn (0.6291, 0.3798, 0.2493)
Mn (0.7342, 0.3740, 0.8760)
Mn (0.7342, 0.8582, 0.3602)
Mn (0.8951, 0.3951, 0.5000)
O (0.3748, 0.6043, 0.7705)
O (0.5721, 0.5721, 0.0000)
O (0.6534, 0.1534, 0.5000)
O (0.8338, 0.6043, 0.2295)
F (0.1024, 0.1024, 0.0000)
F (0.1224, 0.6224, 0.5000)
F (0.2279, 0.1095, 0.6291)
F (0.2279, 0.5988, 0.1183)
F (0.3916, 0.1326, 0.2590)
F (0.4805, 0.1095, 0.8817)
F (0.4805, 0.5988, 0.3709)
F (0.7460, 0.1291, 0.1317)
F (0.7460, 0.6143, 0.6169)
F (0.8736, 0.1326, 0.7410)
F (0.9974, 0.1291, 0.3831)
F (0.9974, 0.6143, 0.8683)

Output
- Formation energy from the elements: -2668.4 meV per atom
- Space-group type: Imm2, No. 44

=====

Li3Mn3O4F4: optimized geometry, PBE+U.

Lattice parameters (Å, degrees): 6.0447 6.0447 6.0709 118.86 118.86 57.38
Atoms (fractional coordinates):
Li (0.0000, 0.0000, 0.0000)
Li (0.3477, 0.3477, 0.5837)
Li (0.6523, 0.6523, 0.4163)
Mn (0.0000, 0.0000, 0.5000)
Mn (0.0000, 0.5000, 0.0000)
Mn (0.5000, 0.0000, 0.0000)
O (0.2154, 0.2154, 0.7447)
O (0.2393, 0.2393, 0.1946)
O (0.7607, 0.7607, 0.8054)
O (0.7846, 0.7846, 0.2553)
F (0.2299, 0.7478, 0.7380)
F (0.2522, 0.7701, 0.2620)
F (0.7478, 0.2299, 0.7380)
F (0.7701, 0.2522, 0.2620)

Output
- Formation energy from the elements: -2538.5 meV per atom
- Space-group type: C2/m, No. 12

=====

LiMnOF2: optimized geometry, PBE+U.

Lattice parameters (Å, degrees): 5.3805 8.6829 10.1883 89.65 83.22 88.28
Atoms (fractional coordinates):
Li (0.0000, 0.0000, 0.0000)
Li (0.0239, 0.5120, 0.4722)
Li (0.1053, 0.5081, 0.0804)
Li (0.1453, 0.0108, 0.5877)
Li (0.5117, 0.6940, 0.4863)
Li (0.5394, 0.2147, 0.9918)
Li (0.6149, 0.6906, 0.0718)
Li (0.6471, 0.1921, 0.6013)
Mn (0.0556, 0.6850, 0.7914)
Mn (0.0779, 0.3179, 0.8040)
Mn (0.0779, 0.8110, 0.2707)
Mn (0.0845, 0.1965, 0.2728)
Mn (0.4311, 0.9611, 0.8389)
Mn (0.5758, 0.5121, 0.7948)
Mn (0.5898, 0.3773, 0.2734)
Mn (0.5946, 0.0192, 0.2793)
O (0.1847, 0.8192, 0.9022)
O (0.1871, 0.5055, 0.8806)
O (0.2446, 0.1394, 0.8989)
O (0.4718, 0.1945, 0.1906)
O (0.7275, 0.6791, 0.8728)
O (0.7464, 0.3588, 0.8794)
O (0.9145, 0.3451, 0.1850)
O (0.9340, 0.0242, 0.1968)
F (0.2048, 0.6848, 0.4176)
F (0.2429, 0.3570, 0.3823)
F (0.2454, 0.0269, 0.3896)
F (0.4087, 0.6666, 0.6798)
F (0.4253, 0.5221, 0.1429)
F (0.4291, 0.8601, 0.1631)
F (0.4307, 0.3499, 0.6855)
F (0.4698, 0.0112, 0.6437)
F (0.6999, 0.5193, 0.4041)
F (0.7033, 0.8526, 0.3897)
F (0.7099, 0.0296, 0.9251)
F (0.7365, 0.1910, 0.4147)
F (0.9164, 0.6794, 0.1437)
F (0.9462, 0.5288, 0.6619)
F (0.9710, 0.1898, 0.6624)
F (0.9785, 0.8430, 0.6742)

Output
- Formation energy from the elements: -2594.5 meV per atom
- Space-group type: P1, No. 1

=====

Li7MnO4F2: optimized geometry, PBE+U.

Lattice parameters (Å, degrees): 6.1971 9.5793 9.5685 83.85 75.28 94.21
Atoms (fractional coordinates):
Li (0.0447, 0.0713, 0.3643)
Li (0.5447, 0.5713, 0.3643)
Li (0.7946, 0.3214, 0.8643)
Li (0.2947, 0.8214, 0.8643)
Li (0.4404, 0.3209, 0.2347)
Li (0.9403, 0.8209, 0.2348)
Li (0.1904, 0.5709, 0.7348)
Li (0.6904, 0.0709, 0.7348)
Li (0.3595, 0.1493, 0.4708)
Li (0.8595, 0.6494, 0.4708)
Li (0.1094, 0.3993, 0.9707)
Li (0.6095, 0.8994, 0.9707)
Li (0.1061, 0.3668, 0.5697)
Li (0.6061, 0.8668, 0.5697)
Li (0.8560, 0.6168, 0.0697)
Li (0.3561, 0.1168, 0.0697)
Li (0.0406, 0.1626, 0.7585)
Li (0.5407, 0.6626, 0.7585)
Li (0.7906, 0.4126, 0.2585)
Li (0.2907, 0.9126, 0.2585)
Li (0.4993, 0.4418, 0.6154)
Li (0.9993, 0.9418, 0.6154)
Li (0.2493, 0.6918, 0.1154)
Li (0.7493, 0.1918, 0.1154)
Li (0.3843, 0.2669, 0.8456)
Li (0.8843, 0.7669, 0.8455)
Li (0.1343, 0.5169, 0.3455)
Li (0.6343, 0.0170, 0.3456)
Mn (0.2617, 0.7491, 0.4948)
Mn (0.0115, 0.9991, 0.9948)
Mn (0.7615, 0.2492, 0.4948)
Mn (0.5114, 0.4991, 0.9949)
O (0.0741, 0.0132, 0.1798)
O (0.5740, 0.5133, 0.1798)
O (0.8241, 0.2633, 0.6798)
O (0.3241, 0.7632, 0.6798)
O (0.2762, 0.9563, 0.4506)
O (0.7762, 0.4564, 0.4505)
O (0.0261, 0.2063, 0.9506)
O (0.5261, 0.7064, 0.9506)
O (0.2708, 0.5447, 0.5248)
O (0.7708, 0.0448, 0.5249)
O (0.0208, 0.7947, 0.0248)
O (0.5207, 0.2948, 0.0249)
O (0.4014, 0.4732, 0.8238)
O (0.9015, 0.9731, 0.8238)
O (0.1515, 0.7232, 0.3238)
O (0.6515, 0.2232, 0.3238)
F (0.1632, 0.2690, 0.3851)
F (0.6632, 0.7690, 0.3851)
F (0.9132, 0.5190, 0.8851)
F (0.4132, 0.0190, 0.8851)
F (0.3319, 0.2475, 0.6394)
F (0.8319, 0.7476, 0.6394)
F (0.0819, 0.4975, 0.1394)
F (0.5819, 0.9976, 0.1394)

Output
- Formation energy from the elements: -2339.5 meV per atom

=====

Which spin magnetization belongs to each record? In order, 0.00 40.00 12.00 0.00 10.00 0.00 34.00 8.00 20.01 40.00 12.00 32.00 0.00 μB per cell.